A geometry-optimized NdTiCrO5 structure. Source: the Materials Project, functional PBE with a Hubbard U.

Energy   -67.6 eV/f.u.
Crystal system   orthorhombic
Calculated formation energy   -3246 meV per atom
Space group   No. 55

Unit cell a=7.464 b=8.855 c=5.939 alpha=90.00 beta=90.00 gamma=90.00
Element x y z (fractional)
Nd (0.134, 0.171, 0.000)
Nd (0.366, 0.671, 0.000)
Nd (0.634, 0.329, 0.000)
Nd (0.866, 0.829, 0.000)
Ti (0.000, 0.500, 0.252)
Ti (0.000, 0.500, 0.748)
Ti (0.500, 0.000, 0.252)
Ti (0.500, 0.000, 0.748)
Cr (0.100, 0.855, 0.500)
Cr (0.400, 0.355, 0.500)
Cr (0.600, 0.645, 0.500)
Cr (0.900, 0.145, 0.500)
O (0.000, 0.000, 0.275)
O (0.000, 0.000, 0.725)
O (0.106, 0.704, 0.248)
O (0.106, 0.704, 0.752)
O (0.157, 0.429, 0.500)
O (0.161, 0.446, 0.000)
O (0.339, 0.946, 0.000)
O (0.343, 0.929, 0.500)
O (0.394, 0.204, 0.248)
O (0.394, 0.204, 0.752)
O (0.500, 0.500, 0.275)
O (0.500, 0.500, 0.725)
O (0.606, 0.796, 0.248)
O (0.606, 0.796, 0.752)
O (0.657, 0.071, 0.500)
O (0.661, 0.054, 0.000)
O (0.839, 0.554, 0.000)
O (0.843, 0.571, 0.500)
O (0.894, 0.296, 0.248)
O (0.894, 0.296, 0.752)